--- one ---
Computed, not measured: an optimized crystal structure of Na4MgNi4O10 at the PBE+U level of DFT.

Results
* V: 199 Å³/f.u.

abc: 5.0900 6.1624 6.9986
angles: 107.02 95.22 105.17
Last column: nearest neighbours and their distance in Å.
Fractional coordinates of all 19 atoms:
Ni 0.5860 0.2013 0.1880  4 O 1.91-1.96
O 0.1179 0.4966 0.7173  2 Ni 1.92-2.02
Ni 0.4028 0.7970 0.7995  6 O 1.88-1.93
O 0.8404 0.5193 0.3333  2 Ni 1.88-1.95
Na 0.9994 0.5267 0.0375  6 O 2.30-2.52
O 0.8644 0.0572 0.2321  2 Ni 1.88-1.91
Ni 0.7989 0.5892 0.6075  5 O 1.86-2.02
Mg 0.4134 0.2929 0.7925  4 O 2.04-2.18
Na 0.2013 0.3920 0.3911  6 O 2.21-2.29
O 0.3137 0.3213 0.0740  2 Ni 1.95-2.08, 1 Mg 2.05
Ni 0.9942 0.0029 0.9854  5 O 1.88-2.08
O 0.5325 0.7303 0.5529  2 Ni 1.86-1.88
Na 0.5645 0.7130 0.2198  5 O 2.24-2.32
O 0.1141 0.9181 0.7247  3 Ni 1.91-2.11
O 0.6788 0.1061 0.8887  3 Ni 1.93-2.14
O 0.3045 0.8900 0.0639  3 Ni 1.92-1.98
O 0.5476 0.2850 0.5248  1 Ni 1.86, 1 Mg 2.04
Na 0.8403 0.0829 0.5687  6 O 2.23-2.43
O 0.6787 0.6584 0.8677  2 Ni 1.92-1.94


--- two ---
Computed, not measured: an optimized crystal structure of Na4MgNi4O10 at the PBE+U level of DFT.

Results
* V: 201 Å³/f.u.

abc: 5.0220 6.3667 7.0402
angles: 109.57 96.47 104.42
Last column: nearest neighbours and their distance in Å.
Fractional coordinates of all 19 atoms:
O 0.4895 0.7250 0.5064  2 Ni 1.88-1.90, 1 Mg 2.07
Ni 0.3769 0.7991 0.7640  6 O 1.90-1.94
O 0.2872 0.8863 0.0294  3 Ni 1.90-2.03
Ni 0.7764 0.6012 0.5684  6 O 1.86-1.96
O 0.5170 0.3033 0.4580  2 Ni 1.86-2.05, 1 Mg 2.07
Ni 0.9768 0.0021 0.9620  6 O 1.91-2.12
O 0.2904 0.3269 0.0799  2 Ni 1.90-2.09, 1 Mg 2.06
O 0.8690 0.0828 0.2216  2 Ni 1.91, 1 Mg 2.08
Na 0.3693 0.2829 0.7494  6 O 2.29-2.42
O 0.6622 0.6720 0.8293  3 Ni 1.90-2.12
O 0.0816 0.5017 0.6577  2 Ni 1.92-1.94, 1 Mg 2.12
O 0.8584 0.5337 0.3032  2 Ni 1.89-2.03, 1 Mg 2.06
Ni 0.5775 0.2089 0.1620  6 O 1.90-2.07
O 0.6620 0.0990 0.8692  3 Ni 1.92-2.07
Na 0.5741 0.7166 0.1774  6 O 2.33-2.47
Mg 0.1809 0.4038 0.3626  6 O 2.06-2.12
Na 0.7815 0.0898 0.5479  6 O 2.30-2.48
O 0.0689 0.9070 0.6941  3 Ni 1.92-1.96
Na 0.9816 0.5212 0.9880  6 O 2.35-2.56


Stability summary: most stable two, least stable one.